An optimized crystal structure of Zn2GaP3H8N2O12. Source: the Materials Project, functional GGA-PBE.

Geometry as POSCAR:
```
Zn2GaP3H8N2O12
1.0
11.757 0.000 0.000
-3.903 11.128 0.000
-3.954 -5.543 9.653
O H N P Zn Ga
48 32 8 12 8 4
Cartesian
5.705 1.868 7.082
0.817 5.820 1.467
1.645 -1.057 9.518
4.730 1.406 4.323
-0.200 -2.217 7.487
6.174 -0.625 6.570
-0.402 2.273 2.662
3.781 -2.888 6.851
-3.905 1.218 5.971
-2.687 -2.702 8.021
3.648 2.163 0.549
-0.102 6.686 3.688
-1.619 -0.462 8.565
4.253 -0.239 0.950
-2.153 2.445 9.323
2.240 5.789 5.836
-0.823 1.587 5.117
2.181 -3.857 8.641
-4.164 5.876 3.991
-0.748 5.814 6.848
1.752 0.498 0.896
3.188 0.272 6.034
0.308 3.736 4.585
-1.985 -1.206 6.099
-0.696 7.889 1.575
5.753 6.506 5.551
7.430 3.940 1.543
-2.220 3.375 4.069
-4.414 0.606 8.433
2.272 8.780 2.087
6.234 4.013 4.984
5.760 8.648 2.846
3.447 9.778 0.089
1.766 4.101 7.725
-0.236 -0.830 3.076
3.428 3.559 5.967
3.936 7.330 0.775
6.252 10.402 0.984
2.280 1.150 3.861
3.819 -0.953 3.946
9.049 -0.066 3.180
6.921 6.374 0.824
-4.737 5.938 8.450
4.159 -0.717 8.939
-1.647 5.581 1.900
5.124 5.556 3.301
3.909 5.373 7.746
4.623 -4.404 8.744
3.139 3.353 1.915
5.989 -3.159 9.353
-2.047 8.205 0.594
-3.669 4.879 7.627
1.840 0.969 6.825
4.213 8.349 4.820
2.095 4.661 2.227
-4.187 -2.597 9.035
6.409 0.790 1.396
-2.738 3.523 8.011
7.058 2.259 1.948
2.474 3.569 3.447
2.850 8.539 3.850
-3.273 3.721 6.406
6.753 -2.019 5.467
-0.780 2.758 1.011
-3.370 7.449 4.427
-3.256 9.277 0.015
1.182 2.411 7.411
-2.077 4.749 7.056
10.339 3.978 0.025
8.110 7.649 0.402
0.245 1.413 6.415
6.024 1.323 2.936
0.628 0.941 8.037
2.845 7.423 5.152
7.608 0.757 2.597
0.553 -2.665 5.778
-1.966 8.356 4.804
0.530 -1.986 4.224
5.096 2.454 8.701
3.678 4.650 2.898
0.963 1.420 7.191
-2.996 8.353 4.808
-2.951 4.206 7.256
-1.056 3.013 0.025
6.778 1.283 2.221
8.833 8.302 0.017
2.849 4.061 2.622
3.182 8.356 4.823
6.807 0.728 6.970
3.432 -4.079 7.740
3.165 0.643 0.329
7.043 4.892 0.376
-0.795 2.777 4.095
10.079 -1.040 2.536
2.876 4.760 6.794
-1.678 -1.638 7.525
-0.451 6.481 2.206
6.162 5.505 4.464
2.905 8.455 0.718
3.462 0.434 4.507
0.844 0.751 2.614
-6.313 6.537 7.454
-2.366 0.413 5.069
0.369 9.418 2.214
4.275 -1.006 7.040
-3.054 4.665 2.897
5.454 6.966 1.959
0.338 5.546 5.204
5.038 2.748 5.576
-2.821 0.710 9.342
1.108 4.955 9.243
0.853 -2.619 8.968
```

- Crystal system: triclinic
- Total energy: -669.15 eV per cell
- Energy of formation from the pure elements: -1806 meV/atom
- Polymorph energy (0 for the lowest one): 0.0 meV/atom
- Mass density: 2.74 g/cm³
- Size of the total moment: 0.000 μB per atom
- SG: P1 (1)